No. 1
A plane-wave DFT calculation with PBE was carried out for a geometry-optimized Pr2S3 structure.

Cell: 7.562 4.095 15.788 Å, 90.00 90.00 90.00°
Space group Pnma (No. 62)
Symmetry-distinct sites (fractional):
Pr (0.145, 0.250, 0.204) [4 per cell]
Pr (0.236, 0.750, 0.456) [4 per cell]
S (0.010, 0.250, 0.391) [4 per cell]
S (0.126, 0.750, 0.067) [4 per cell]
S (0.145, 0.250, 0.781) [4 per cell]

**Crystal system**: orthorhombic
**Formation enthalpy at 0 K**: -1136 kJ/mol of formula units

***

No. 2
A plane-wave DFT calculation with PBE was carried out for a geometry-optimized NaLi3GeO4 structure.

Cell: 11.206 11.206 12.960 Å, 90.00 90.00 90.00°
Space group I4_1/a (No. 88, origin choice 2)
Symmetry-distinct sites (fractional):
Na (0.225, 0.487, 0.406) [16 per cell]
Li (0.006, 0.392, 0.320) [16 per cell]
Li (0.021, 0.407, 0.056) [16 per cell]
Li (0.029, 0.412, 0.564) [16 per cell]
Ge (0.034, 0.427, 0.806) [16 per cell]
O (0.051, 0.099, 0.920) [16 per cell]
O (0.059, 0.078, 0.696) [16 per cell]
O (0.081, 0.079, 0.184) [16 per cell]
O (0.089, 0.084, 0.450) [16 per cell]

**Crystal system**: tetragonal
**Formation enthalpy at 0 K**: -1940 kJ/mol of formula units

***

No. 3
A plane-wave DFT calculation with PBE was carried out for a geometry-optimized Ho2MgSe4 structure.

Cell: 8.567 8.567 8.891 Å, 90.00 90.00 90.00°
Space group I-42d (No. 122)
Symmetry-distinct sites (fractional):
Ho (0.132, 0.250, 0.125) [8 per cell]
Mg (0.000, 0.000, 0.500) [4 per cell]
Se (0.067, 0.195, 0.812) [16 per cell]

**Crystal system**: tetragonal
**Formation enthalpy at 0 K**: -1262 kJ/mol of formula units
**Polymorph energy (0 for the lowest one)**: 0.0921 eV per atom

***

No. 4
A plane-wave DFT calculation with PBE was carried out for a geometry-optimized CsLa6FeI10 structure.

Cell: 14.447 14.073 15.723 Å, 90.00 90.01 90.00°
Space group P2_1/m (No. 11)
Symmetry-distinct sites (fractional):
Cs (0.013, 0.250, 0.082) [2 per cell]
Cs (0.487, 0.250, 0.582) [2 per cell]
La (0.103, 0.750, 0.232) [2 per cell]
La (0.105, 0.250, 0.494) [2 per cell]
La (0.117, 0.107, 0.704) [4 per cell]
La (0.119, 0.607, 0.443) [4 per cell]
La (0.381, 0.607, 0.943) [4 per cell]
La (0.383, 0.107, 0.205) [4 per cell]
La (0.395, 0.250, 0.993) [2 per cell]
La (0.397, 0.750, 0.731) [2 per cell]
Fe (0.001, 0.250, 0.629) [2 per cell]
Fe (0.499, 0.250, 0.129) [2 per cell]
I (0.000, 0.082, 0.877) [4 per cell]
I (0.001, 0.583, 0.625) [4 per cell]
I (0.225, 0.250, 0.283) [2 per cell]
I (0.236, 0.591, 0.787) [4 per cell]
I (0.236, 0.750, 0.037) [2 per cell]
I (0.248, 0.075, 0.537) [4 per cell]
I (0.251, 0.075, 0.037) [4 per cell]
I (0.264, 0.591, 0.288) [4 per cell]
I (0.264, 0.750, 0.537) [2 per cell]
I (0.275, 0.250, 0.782) [2 per cell]
I (0.499, 0.583, 0.126) [4 per cell]
I (0.500, 0.082, 0.378) [4 per cell]

**Crystal system**: monoclinic
**Formation enthalpy at 0 K**: -2597 kJ/mol of formula units

***

No. 5
A plane-wave DFT calculation with PBE was carried out for a geometry-optimized Sm5Ga3 structure.

Cell: 7.784 7.784 14.501 Å, 90.00 90.00 90.00°
Space group I4/mcm (No. 140)
Symmetry-distinct sites (fractional):
Sm (0.000, 0.000, 0.000) [4 per cell]
Sm (0.171, 0.329, 0.148) [16 per cell]
Ga (0.000, 0.000, 0.250) [4 per cell]
Ga (0.120, 0.380, 0.500) [8 per cell]

**Crystal system**: tetragonal
**Formation enthalpy at 0 K**: -348 kJ/mol of formula units
**Polymorph energy (0 for the lowest one)**: 0.0117 eV per atom

***

No. 6
A plane-wave DFT calculation with PBE was carried out for a geometry-optimized Na5Hf2In2SiP5O24 structure.

Cell: 9.037 9.048 22.852 Å, 89.99 89.96 60.09°
Space group P1 (No. 1)
Symmetry-distinct sites (fractional):
Na (0.000, 0.000, 0.000) [1 per cell]
Na (0.000, 0.367, 0.242) [1 per cell]
Na (0.287, 0.681, 0.577) [1 per cell]
Na (0.321, 0.341, 0.157) [1 per cell]
Na (0.325, 0.984, 0.412) [1 per cell]
Na (0.327, 0.332, 0.661) [1 per cell]
Na (0.347, 0.652, 0.245) [1 per cell]
Na (0.618, 0.021, 0.244) [1 per cell]
Na (0.640, 0.684, 0.829) [1 per cell]
Na (0.659, 0.046, 0.580) [1 per cell]
Na (0.662, 0.673, 0.333) [1 per cell]
Na (0.690, 0.975, 0.913) [1 per cell]
Na (0.952, 0.357, 0.912) [1 per cell]
Na (0.976, 0.027, 0.496) [1 per cell]
Na (0.986, 0.654, 0.746) [1 per cell]
Hf (0.317, 0.354, 0.015) [1 per cell]
Hf (0.325, 0.345, 0.808) [1 per cell]
Hf (0.651, 0.684, 0.175) [1 per cell]
Hf (0.654, 0.681, 0.681) [1 per cell]
Hf (0.988, 0.012, 0.346) [1 per cell]
Hf (0.990, 0.007, 0.845) [1 per cell]
In (0.315, 0.349, 0.510) [1 per cell]
In (0.321, 0.347, 0.314) [1 per cell]
In (0.652, 0.682, 0.977) [1 per cell]
In (0.662, 0.674, 0.477) [1 per cell]
In (0.984, 0.024, 0.646) [1 per cell]
In (0.990, 0.016, 0.140) [1 per cell]
Si (0.029, 0.641, 0.910) [1 per cell]
Si (0.283, 0.015, 0.244) [1 per cell]
Si (0.690, 0.017, 0.742) [1 per cell]
P (0.022, 0.348, 0.409) [1 per cell]
P (0.282, 0.720, 0.742) [1 per cell]
P (0.320, 0.059, 0.911) [1 per cell]
P (0.321, 0.646, 0.411) [1 per cell]
P (0.359, 0.680, 0.076) [1 per cell]
P (0.361, 0.973, 0.576) [1 per cell]
P (0.611, 0.348, 0.910) [1 per cell]
P (0.621, 0.049, 0.412) [1 per cell]
P (0.655, 0.979, 0.076) [1 per cell]
P (0.656, 0.386, 0.576) [1 per cell]
P (0.696, 0.306, 0.243) [1 per cell]
P (0.950, 0.680, 0.578) [1 per cell]
P (0.951, 0.384, 0.076) [1 per cell]
P (0.987, 0.722, 0.243) [1 per cell]
P (0.989, 0.308, 0.745) [1 per cell]
O (0.005, 0.834, 0.905) [1 per cell]
O (0.009, 0.180, 0.403) [1 per cell]
O (0.021, 0.799, 0.189) [1 per cell]
O (0.026, 0.201, 0.690) [1 per cell]
O (0.096, 0.373, 0.351) [1 per cell]
O (0.116, 0.526, 0.851) [1 per cell]
O (0.129, 0.372, 0.073) [1 per cell]
O (0.131, 0.520, 0.575) [1 per cell]
O (0.142, 0.306, 0.461) [1 per cell]
O (0.142, 0.341, 0.752) [1 per cell]
O (0.145, 0.542, 0.251) [1 per cell]
O (0.150, 0.542, 0.966) [1 per cell]
O (0.153, 0.051, 0.904) [1 per cell]
O (0.156, 0.060, 0.190) [1 per cell]
O (0.156, 0.829, 0.405) [1 per cell]
O (0.176, 0.789, 0.686) [1 per cell]
O (0.179, 0.835, 0.082) [1 per cell]
O (0.185, 0.986, 0.583) [1 per cell]
O (0.192, 0.838, 0.795) [1 per cell]
O (0.197, 0.979, 0.303) [1 per cell]
O (0.293, 0.172, 0.965) [1 per cell]
O (0.294, 0.568, 0.466) [1 per cell]
O (0.296, 0.544, 0.752) [1 per cell]
O (0.313, 0.179, 0.250) [1 per cell]
O (0.345, 0.544, 0.354) [1 per cell]
O (0.347, 0.146, 0.857) [1 per cell]
O (0.351, 0.512, 0.073) [1 per cell]
O (0.355, 0.148, 0.574) [1 per cell]
O (0.434, 0.870, 0.519) [1 per cell]
O (0.443, 0.705, 0.023) [1 per cell]
O (0.462, 0.699, 0.737) [1 per cell]
O (0.469, 0.659, 0.133) [1 per cell]
O (0.473, 0.839, 0.237) [1 per cell]
O (0.474, 0.678, 0.414) [1 per cell]
O (0.480, 0.882, 0.915) [1 per cell]
O (0.481, 0.875, 0.629) [1 per cell]
O (0.487, 0.375, 0.575) [1 per cell]
O (0.488, 0.156, 0.073) [1 per cell]
O (0.500, 0.180, 0.751) [1 per cell]
O (0.503, 0.367, 0.856) [1 per cell]
O (0.511, 0.127, 0.356) [1 per cell]
O (0.512, 0.340, 0.251) [1 per cell]
O (0.529, 0.314, 0.964) [1 per cell]
O (0.542, 0.156, 0.467) [1 per cell]
O (0.632, 0.872, 0.416) [1 per cell]
O (0.634, 0.501, 0.630) [1 per cell]
O (0.634, 0.885, 0.131) [1 per cell]
O (0.637, 0.503, 0.914) [1 per cell]
O (0.677, 0.466, 0.521) [1 per cell]
O (0.678, 0.877, 0.019) [1 per cell]
O (0.683, 0.837, 0.738) [1 per cell]
O (0.687, 0.484, 0.237) [1 per cell]
O (0.766, 0.044, 0.682) [1 per cell]
O (0.767, 0.192, 0.190) [1 per cell]
O (0.793, 0.184, 0.903) [1 per cell]
O (0.799, 0.029, 0.404) [1 per cell]
O (0.810, 0.203, 0.580) [1 per cell]
O (0.812, 0.220, 0.297) [1 per cell]
O (0.814, 0.998, 0.082) [1 per cell]
O (0.817, 0.984, 0.799) [1 per cell]
O (0.824, 0.702, 0.237) [1 per cell]
O (0.827, 0.489, 0.738) [1 per cell]
O (0.837, 0.714, 0.524) [1 per cell]
O (0.838, 0.662, 0.913) [1 per cell]
O (0.843, 0.504, 0.414) [1 per cell]
O (0.849, 0.465, 0.019) [1 per cell]
O (0.859, 0.497, 0.131) [1 per cell]
O (0.861, 0.661, 0.634) [1 per cell]
O (0.952, 0.840, 0.297) [1 per cell]
O (0.965, 0.224, 0.800) [1 per cell]
O (0.969, 0.207, 0.080) [1 per cell]
O (0.972, 0.841, 0.582) [1 per cell]

**Crystal system**: triclinic
**Formation enthalpy at 0 K**: -10748 kJ/mol of formula units

***

No. 7
A plane-wave DFT calculation with PBE was carried out for a geometry-optimized Ba3TaOF9 structure.

Cell: 6.360 27.200 6.363 Å, 90.00 90.00 90.00°
Space group C222_1 (No. 20)
Symmetry-distinct sites (fractional):
Ba (0.000, 0.045, 0.250) [4 per cell]
Ba (0.000, 0.182, 0.750) [4 per cell]
Ba (0.000, 0.452, 0.250) [4 per cell]
Ta (0.000, 0.338, 0.750) [4 per cell]
O (0.244, 0.500, 0.500) [4 per cell]
F (0.000, 0.093, 0.750) [4 per cell]
F (0.000, 0.410, 0.750) [4 per cell]
F (0.131, 0.278, 0.885) [8 per cell]
F (0.214, 0.360, 0.963) [8 per cell]
F (0.216, 0.338, 0.535) [8 per cell]
F (0.248, 0.500, 0.000) [4 per cell]

**Crystal system**: orthorhombic
**Formation enthalpy at 0 K**: -5029 kJ/mol of formula units

***

No. 8
A plane-wave DFT calculation with PBE was carried out for a geometry-optimized Li3WN2 structure.

Cell: 4.869 6.337 4.870 Å, 90.00 94.64 90.00°
Space group P2_1/m (No. 11)
Symmetry-distinct sites (fractional):
Li (0.184, 0.250, 0.320) [2 per cell]
Li (0.215, 0.008, 0.831) [4 per cell]
W (0.315, 0.750, 0.350) [2 per cell]
N (0.054, 0.750, 0.055) [2 per cell]
N (0.500, 0.000, 0.500) [2 per cell]

**Crystal system**: monoclinic
**Formation enthalpy at 0 K**: -341 kJ/mol of formula units
**Polymorph energy (0 for the lowest one)**: 0.0000 eV per atom

***

No. 9
A plane-wave DFT calculation with PBE was carried out for a geometry-optimized MgAl4Cu2O8 structure.

Cell: 5.728 5.977 5.982 Å, 109.70 106.19 106.14°
Space group P1 (No. 1)
Symmetry-distinct sites (fractional):
Mg (0.000, 0.000, 0.000) [1 per cell]
Al (0.000, 0.726, 0.275) [1 per cell]
Al (0.445, 0.525, 0.053) [1 per cell]
Al (0.500, 0.012, 0.990) [1 per cell]
Al (0.554, 0.949, 0.477) [1 per cell]
Cu (0.248, 0.393, 0.539) [1 per cell]
Cu (0.748, 0.464, 0.607) [1 per cell]
O (0.235, 0.045, 0.371) [1 per cell]
O (0.262, 0.616, 0.302) [1 per cell]
O (0.293, 0.676, 0.874) [1 per cell]
O (0.303, 0.185, 0.946) [1 per cell]
O (0.697, 0.056, 0.817) [1 per cell]
O (0.706, 0.127, 0.325) [1 per cell]
O (0.738, 0.699, 0.387) [1 per cell]
O (0.763, 0.631, 0.957) [1 per cell]

**Crystal system**: triclinic
**Formation enthalpy at 0 K**: -3704 kJ/mol of formula units
**Polymorph energy (0 for the lowest one)**: 0.0313 eV per atom

***

Which value of formation enthalpy at 0 K does entry 3 give? -1262 kJ/mol of formula units

***

What is the formation enthalpy at 0 K in the ninth record? -3704 kJ/mol of formula units

***

Which of these has the highest formation enthalpy at 0 K? Li3WN2

***

Which value of formation enthalpy at 0 K does entry 2 give? -1940 kJ/mol of formula units